(1)
# Cu2Sb

An optimized crystal structure of Cu2Sb (GGA-PBE, the Materials Project).

Unit cell a=4.0089 b=4.0089 c=6.1486 alpha=90.00 beta=90.00 gamma=90.00
With the nearest neighbours (Å) after each atom.
Sites, in units of the cell vectors:
1 Cu 0.5000 0.0000 0.2658  4 Cu 2.59, 5 Sb 2.66-2.84
2 Cu 0.0000 0.5000 0.7342  4 Cu 2.59, 5 Sb 2.66-2.84
3 Sb 0.0000 0.5000 0.3020  9 Cu 2.66-2.84
4 Sb 0.5000 0.0000 0.6980  9 Cu 2.66-2.84
5 Cu 0.5000 0.5000 0.0000  8 Cu 2.59-2.83, 4 Sb 2.73
6 Cu 0.0000 0.0000 0.0000  8 Cu 2.59-2.83, 4 Sb 2.73

The calculation puts the final energy at -4.0859 eV per atom. Its formation enthalpy at 0 K is -0.04 eV/atom.

***

(2)
# Sn2S3O12

An optimized crystal structure of Sn2S3O12 (GGA-PBE, the Materials Project).

Unit cell a=9.2323 b=8.8531 c=15.0269 alpha=56.04 beta=90.00 gamma=90.00
With the nearest neighbours (Å) after each atom.
Sites, in units of the cell vectors:
1 S 0.6295 0.9692 0.1564  4 O 1.46-1.53
2 S 0.3889 0.7665 0.6394  4 O 1.46-1.53
3 O 0.7373 0.5465 0.8975  1 S 1.46
4 O 0.6477 0.5105 0.0613  1 S 1.46
5 S 0.7272 0.5425 0.4936  4 O 1.46-1.53
6 O 0.0688 0.8550 0.4281  1 S 1.46
7 O 0.7415 0.2848 0.8189  1 S 1.46
8 O 0.6570 0.7206 0.4646  1 S 1.53
9 O 0.7274 0.9999 0.6959  1 S 1.53
10 O 0.8844 0.1288 0.9829  1 S 1.53
11 O 0.2627 0.4535 0.1025  1 S 1.46
12 Sn 0.5299 0.3692 0.8777  6 O 2.40-2.60
13 O 0.3430 0.2794 0.5354  1 S 1.53
14 S 0.6111 0.2335 0.3606  4 O 1.46-1.53
15 O 0.2726 0.0001 0.3041  1 S 1.53
16 S 0.1111 0.7665 0.1394  4 O 1.46-1.53
17 O 0.4386 0.8977 0.6681  1 S 1.52
18 O 0.2415 0.7152 0.6811  1 S 1.46
19 Sn 0.5388 0.1430 0.6098  6 O 2.05-2.12
20 O 0.3496 0.1583 0.8754  1 S 1.46
21 O 0.8523 0.5105 0.5613  1 S 1.46
22 O 0.7627 0.5465 0.3975  1 S 1.46
23 Sn 0.0388 0.8570 0.8902  6 O 2.05-2.12
24 O 0.8845 0.3955 0.0622  1 S 1.52
25 Sn 0.9612 0.1430 0.1098  6 O 2.05-2.12
26 S 0.8705 0.9692 0.6564  4 O 1.46-1.53
27 O 0.9910 0.3845 0.8177  1 S 1.46
28 Sn 0.4701 0.6308 0.1223  6 O 2.40-2.60
29 O 0.9719 0.8764 0.7523  1 S 1.52
30 S 0.7728 0.5425 0.9936  4 O 1.46-1.53
31 O 0.4719 0.1236 0.7477  1 S 1.52
32 O 0.1156 0.8712 0.0171  1 S 1.53
33 O 0.1155 0.6045 0.9378  1 S 1.52
34 O 0.1477 0.4895 0.4387  1 S 1.46
35 O 0.3523 0.4895 0.9387  1 S 1.46
36 O 0.7726 0.9999 0.1959  1 S 1.53
37 O 0.9386 0.1023 0.8319  1 S 1.52
38 O 0.8496 0.8417 0.6246  1 S 1.46
39 O 0.0614 0.8977 0.1681  1 S 1.52
40 O 0.6504 0.8417 0.1246  1 S 1.46
41 O 0.3844 0.8712 0.5171  1 S 1.53
42 O 0.2585 0.7152 0.1811  1 S 1.46
43 O 0.1570 0.2794 0.0354  1 S 1.53
44 O 0.2274 0.0001 0.8041  1 S 1.53
45 O 0.4910 0.6155 0.6823  1 S 1.46
46 O 0.5688 0.1450 0.0719  1 S 1.46
47 O 0.5281 0.8764 0.2523  1 S 1.52
48 Sn 0.4612 0.8570 0.3902  6 O 2.05-2.12
49 O 0.9312 0.1450 0.5719  1 S 1.46
50 O 0.3845 0.6045 0.4378  1 S 1.52
51 O 0.6156 0.1288 0.4829  1 S 1.53
52 O 0.1504 0.1583 0.3754  1 S 1.46
53 O 0.8430 0.7206 0.9646  1 S 1.53
54 O 0.0281 0.1236 0.2477  1 S 1.52
55 O 0.2373 0.4535 0.6025  1 S 1.46
56 Sn 0.0299 0.6308 0.6223  6 O 2.40-2.60
57 S 0.2272 0.4575 0.0064  4 O 1.46-1.53
58 O 0.5614 0.1023 0.3319  1 S 1.52
59 O 0.6155 0.3955 0.5622  1 S 1.52
60 S 0.3705 0.0308 0.8436  4 O 1.46-1.53
61 O 0.5090 0.3845 0.3177  1 S 1.46
62 O 0.7585 0.2848 0.3189  1 S 1.46
63 S 0.1295 0.0308 0.3436  4 O 1.46-1.53
64 S 0.8889 0.2335 0.8606  4 O 1.46-1.53
65 O 0.4312 0.8550 0.9281  1 S 1.46
66 Sn 0.9701 0.3692 0.3777  6 O 2.40-2.60
67 S 0.2728 0.4575 0.5064  4 O 1.46-1.53
68 O 0.0090 0.6155 0.1823  1 S 1.46

The calculation puts the final energy at -6.0419 eV per atom. The relative energy among the computed polymorphs is 7.4 meV per atom. Its formation enthalpy at 0 K is -1.83 eV/atom.

***

(3)
# Li4Ti3Sn5O16

An optimized crystal structure of Li4Ti3Sn5O16 (GGA-PBE, the Materials Project).

Unit cell a=6.2325 b=6.2325 c=10.6994 alpha=89.90 beta=89.90 gamma=59.68
With the nearest neighbours (Å) after each atom.
Sites, in units of the cell vectors:
1 O 0.4877 0.4877 0.1918  2 Ti 1.97, 1 Li 2.05
2 O 0.5100 0.5100 0.6753  1 Li 2.01, 2 Sn 2.07
3 Ti 0.8260 0.8260 0.7782  6 O 1.93-2.12
4 Sn 0.1663 0.1663 0.2833  6 O 2.08-2.21
5 O 0.3414 0.3414 0.3890  2 Ti 2.04, 1 Sn 2.21
6 Li 0.9941 0.9941 0.4991  4 O 1.91-2.00
7 Ti 0.6586 0.1706 0.2842  6 O 1.93-2.11
8 Sn 0.8321 0.3322 0.7798  6 O 2.07-2.16
9 O 0.2963 0.8449 0.3904  1 Li 2.00, 1 Ti 2.04, 1 Sn 2.08
10 O 0.8547 0.8547 0.3850  1 Li 1.94, 2 Ti 2.02
11 Li 0.3356 0.3356 0.6098  3 O 2.01-2.06
12 O 0.1412 0.7010 0.8878  1 Li 1.99, 1 Ti 2.07, 1 Sn 2.10
13 O 0.6716 0.6716 0.8865  1 Ti 2.03, 2 Sn 2.16
14 O 0.9954 0.9954 0.6778  1 Li 1.91, 2 Sn 2.12, 1 Ti 2.12
15 Ti 0.1706 0.6586 0.2842  6 O 1.93-2.11
16 Li 0.6683 0.6683 0.1323  3 O 1.99-2.05
17 O 0.9804 0.5245 0.6813  1 Ti 1.93, 1 Li 2.06, 1 Sn 2.12
18 O 0.8449 0.2963 0.3904  1 Li 2.00, 1 Ti 2.04, 1 Sn 2.08
19 O 0.7010 0.1412 0.8878  1 Li 1.99, 1 Ti 2.07, 1 Sn 2.10
20 O 0.5050 0.0205 0.1892  1 Ti 1.93, 1 Li 1.99, 1 Sn 2.09
21 Sn 0.3379 0.3379 0.9917  3 O 2.25-2.31
22 Sn 0.3322 0.8321 0.7798  6 O 2.07-2.16
23 O 0.5245 0.9804 0.6813  1 Ti 1.93, 1 Li 2.06, 1 Sn 2.12
24 Li 0.9901 0.9901 0.0038  4 O 1.93-2.11
25 O 0.0205 0.5050 0.1892  1 Ti 1.93, 1 Li 1.99, 1 Sn 2.09
26 O 0.9961 0.9961 0.1838  1 Li 1.93, 2 Ti 2.11, 1 Sn 2.13
27 O 0.1496 0.1496 0.8904  3 Sn 2.08-2.31, 1 Li 2.11
28 Sn 0.6699 0.6699 0.4894  3 O 2.27-2.29

The calculation puts the final energy at -6.7324 eV per atom. Its formation enthalpy at 0 K is -2.46 eV/atom.

***

(4)
# Tb3Th

An optimized crystal structure of Tb3Th (GGA-PBE, the Materials Project).

Unit cell a=7.1512 b=7.1512 c=5.8385 alpha=90.00 beta=90.00 gamma=120.00
With the nearest neighbours (Å) after each atom.
Sites, in units of the cell vectors:
1 Tb 0.6656 0.8328 0.2500  8 Tb 3.56-3.59, 4 Th 3.57-3.58
2 Tb 0.1672 0.8328 0.2500  8 Tb 3.56-3.59, 4 Th 3.57-3.58
3 Tb 0.8328 0.1672 0.7500  8 Tb 3.56-3.59, 4 Th 3.57-3.58
4 Th 0.3333 0.6667 0.7500  12 Tb 3.57-3.58
5 Tb 0.1672 0.3344 0.2500  8 Tb 3.56-3.59, 4 Th 3.57-3.58
6 Tb 0.8328 0.6656 0.7500  8 Tb 3.56-3.59, 4 Th 3.57-3.58
7 Tb 0.3344 0.1672 0.7500  8 Tb 3.56-3.59, 4 Th 3.57-3.58
8 Th 0.6667 0.3333 0.2500  12 Tb 3.57-3.58

The calculation puts the final energy at -5.2678 eV per atom. Its formation enthalpy at 0 K is 0.06 eV/atom.

***

(5)
# CaGeO3

An optimized crystal structure of CaGeO3 (GGA-PBE, the Materials Project).

Unit cell a=7.3822 b=7.6325 c=8.2503 alpha=103.50 beta=95.01 gamma=90.14
With the nearest neighbours (Å) after each atom.
Sites, in units of the cell vectors:
1 O 0.4197 0.1288 0.2400  2 Ge 1.80-1.82
2 Ca 0.7390 0.0733 0.2906  6 O 2.33-2.53
3 Ca 0.2579 0.4273 0.7049  5 O 2.33-2.49
4 Ge 0.7761 0.3927 0.6812  4 O 1.72-1.81
5 O 0.2574 0.8187 0.2664  2 Ge 1.78-1.79
6 O 0.7124 0.7733 0.0784  1 Ge 1.74
7 Ca 0.7421 0.5727 0.2951  5 O 2.33-2.49
8 O 0.5803 0.8712 0.7600  2 Ge 1.80-1.82
9 O 0.4214 0.4978 0.2299  2 Ge 1.81-1.82
10 Ca 0.9687 0.2473 0.9897  7 O 2.36-2.56
11 Ge 0.2239 0.6073 0.3188  4 O 1.72-1.81
12 O 0.7719 0.3707 0.4683  1 Ge 1.72
13 Ge 0.5547 0.7253 0.9033  4 O 1.74-1.82
14 O 0.2876 0.2267 0.9216  1 Ge 1.74
15 O 0.7718 0.8643 0.4620  1 Ge 1.74
16 Ge 0.7776 0.9448 0.6773  4 O 1.74-1.80
17 O 0.5786 0.5022 0.7701  2 Ge 1.81-1.82
18 O 0.7426 0.1813 0.7336  2 Ge 1.78-1.79
19 O 0.0255 0.0742 0.1929  1 Ge 1.76
20 O 0.9745 0.9258 0.8071  1 Ge 1.76
21 O 0.6824 0.2728 0.0996  1 Ge 1.75
22 Ge 0.4453 0.2747 0.0967  4 O 1.74-1.82
23 O 0.0261 0.5243 0.1887  1 Ge 1.76
24 Ca 0.0313 0.7527 0.0103  7 O 2.36-2.56
25 O 0.9739 0.4757 0.8113  1 Ge 1.76
26 O 0.3176 0.7272 0.9004  1 Ge 1.75
27 O 0.2282 0.1357 0.5380  1 Ge 1.74
28 O 0.2281 0.6293 0.5317  1 Ge 1.72
29 Ge 0.2224 0.0552 0.3227  4 O 1.74-1.80
30 Ca 0.2610 0.9267 0.7094  6 O 2.33-2.53

The calculation puts the final energy at -6.6323 eV per atom. Its formation enthalpy at 0 K is -2.75 eV/atom.

***

(6)
# CaSnPt

An optimized crystal structure of CaSnPt (GGA-PBE, the Materials Project).

Unit cell a=4.6678 b=7.4223 c=7.9745 alpha=90.00 beta=90.00 gamma=90.00
With the nearest neighbours (Å) after each atom.
Sites, in units of the cell vectors:
1 Sn 0.2500 0.8259 0.9205  4 Pt 2.73-2.83
2 Pt 0.7500 0.2936 0.4027  4 Sn 2.73-2.83
3 Sn 0.7500 0.6741 0.4205  4 Pt 2.73-2.83
4 Pt 0.7500 0.7936 0.0973  4 Sn 2.73-2.83
5 Pt 0.2500 0.7064 0.5973  4 Sn 2.73-2.83
6 Ca 0.2500 0.4857 0.1910  5 Pt 3.10-3.35, 6 Sn 3.28-3.40
7 Ca 0.7500 0.5143 0.8090  5 Pt 3.10-3.35, 6 Sn 3.28-3.40
8 Sn 0.7500 0.1741 0.0795  4 Pt 2.73-2.83
9 Pt 0.2500 0.2064 0.9027  4 Sn 2.73-2.83
10 Ca 0.7500 0.0143 0.6910  5 Pt 3.10-3.35, 6 Sn 3.28-3.40
11 Sn 0.2500 0.3259 0.5795  4 Pt 2.73-2.83
12 Ca 0.2500 0.9857 0.3090  5 Pt 3.10-3.35, 6 Sn 3.28-3.40

The calculation puts the final energy at -4.9443 eV per atom. Its formation enthalpy at 0 K is -0.92 eV/atom.

***

(7)
# Mg3CuO4

An optimized crystal structure of Mg3CuO4 (GGA-PBE, the Materials Project).

Unit cell a=4.2489 b=4.2489 c=4.2489 alpha=90.00 beta=90.00 gamma=90.00
With the nearest neighbours (Å) after each atom.
Sites, in units of the cell vectors:
1 Mg 0.5000 0.5000 0.0000  6 O 2.12
2 O 0.5000 0.0000 0.0000  4 Mg 2.12, 2 Cu 2.12
3 Mg 0.5000 0.0000 0.5000  6 O 2.12
4 Cu 0.0000 0.0000 0.0000  6 O 2.12
5 O 0.5000 0.5000 0.5000  6 Mg 2.12
6 O 0.0000 0.5000 0.0000  4 Mg 2.12, 2 Cu 2.12
7 O 0.0000 0.0000 0.5000  4 Mg 2.12, 2 Cu 2.12
8 Mg 0.0000 0.5000 0.5000  6 O 2.12

The calculation puts the final energy at -5.7492 eV per atom. Its formation enthalpy at 0 K is -2.51 eV/atom.

***

(8)
# Mg5B3O9F

An optimized crystal structure of Mg5B3O9F (GGA-PBE, the Materials Project).

Unit cell a=4.5735 b=10.1858 c=15.0028 alpha=90.00 beta=90.00 gamma=90.00
With the nearest neighbours (Å) after each atom.
Sites, in units of the cell vectors:
1 Mg 0.4898 0.3487 0.8515  1 F 2.00, 5 O 2.08-2.13
2 O 0.2559 0.5543 0.0542  1 B 1.39
3 O 0.6932 0.1847 0.4541  1 B 1.41
4 F 0.1848 0.0579 0.2500  3 Mg 2.00-2.01
5 Mg 0.0023 0.4199 0.2500  1 F 2.01, 5 O 2.07-2.18
6 O 0.2559 0.5543 0.4458  1 B 1.39
7 O 0.3068 0.8153 0.9541  1 B 1.41
8 B 0.5345 0.0751 0.0763  3 O 1.39-1.41
9 B 0.5345 0.0751 0.4237  3 O 1.39-1.41
10 O 0.3115 0.0074 0.6347  1 B 1.40
11 O 0.7509 0.7474 0.2500  1 B 1.38
12 Mg 0.5005 0.3693 0.0574  6 O 2.07-2.22
13 O 0.6885 0.9926 0.1347  1 B 1.40
14 B 0.4655 0.9249 0.9237  3 O 1.39-1.41
15 Mg 0.9995 0.8693 0.4426  6 O 2.07-2.22
16 O 0.7015 0.7007 0.8289  1 B 1.40
17 B 0.0345 0.4249 0.9237  3 O 1.39-1.41
18 Mg 0.9898 0.1513 0.3515  1 F 2.00, 5 O 2.08-2.13
19 O 0.7985 0.2007 0.8289  1 B 1.40
20 Mg 0.5023 0.0801 0.7500  1 F 2.01, 5 O 2.07-2.18
21 O 0.2015 0.7993 0.3289  1 B 1.40
22 O 0.7441 0.4457 0.9458  1 B 1.39
23 B 0.9546 0.2219 0.7500  3 O 1.38-1.40
24 Mg 0.9995 0.8693 0.0574  6 O 2.07-2.22
25 O 0.3115 0.0074 0.8653  1 B 1.40
26 O 0.6885 0.9926 0.3653  1 B 1.40
27 B 0.0454 0.7781 0.2500  3 O 1.38-1.40
28 Mg 0.0005 0.1307 0.5574  6 O 2.07-2.22
29 B 0.9655 0.5751 0.0763  3 O 1.39-1.41
30 Mg 0.0005 0.1307 0.9426  6 O 2.07-2.22
31 O 0.1885 0.5074 0.6347  1 B 1.40
32 B 0.4655 0.9249 0.5763  3 O 1.39-1.41
33 O 0.2441 0.0543 0.0542  1 B 1.39
34 Mg 0.4995 0.6307 0.5574  6 O 2.07-2.22
35 Mg 0.9977 0.5801 0.7500  1 F 2.01, 5 O 2.07-2.18
36 O 0.6932 0.1847 0.0459  1 B 1.41
37 O 0.7985 0.2007 0.6711  1 B 1.40
38 O 0.2015 0.7993 0.1711  1 B 1.40
39 Mg 0.5005 0.3693 0.4426  6 O 2.07-2.22
40 Mg 0.0102 0.8487 0.6485  1 F 2.00, 5 O 2.08-2.13
41 O 0.2491 0.2526 0.7500  1 B 1.38
42 F 0.3152 0.5579 0.2500  3 Mg 2.00-2.01
43 O 0.2985 0.2993 0.3289  1 B 1.40
44 O 0.2985 0.2993 0.1711  1 B 1.40
45 O 0.2509 0.7526 0.7500  1 B 1.38
46 O 0.7559 0.9457 0.9458  1 B 1.39
47 Mg 0.4995 0.6307 0.9426  6 O 2.07-2.22
48 Mg 0.9898 0.1513 0.1485  1 F 2.00, 5 O 2.08-2.13
49 O 0.1932 0.3153 0.9541  1 B 1.41
50 O 0.2441 0.0543 0.4458  1 B 1.39
51 O 0.7491 0.2474 0.2500  1 B 1.38
52 O 0.7015 0.7007 0.6711  1 B 1.40
53 O 0.3068 0.8153 0.5459  1 B 1.41
54 Mg 0.5102 0.6513 0.3515  1 F 2.00, 5 O 2.08-2.13
55 O 0.7559 0.9457 0.5542  1 B 1.39
56 B 0.5454 0.7219 0.7500  3 O 1.38-1.40
57 Mg 0.5102 0.6513 0.1485  1 F 2.00, 5 O 2.08-2.13
58 O 0.8115 0.4926 0.1347  1 B 1.40
59 B 0.0345 0.4249 0.5763  3 O 1.39-1.41
60 Mg 0.4977 0.9199 0.2500  1 F 2.01, 5 O 2.07-2.18
61 O 0.8068 0.6847 0.0459  1 B 1.41
62 Mg 0.0102 0.8487 0.8515  1 F 2.00, 5 O 2.08-2.13
63 O 0.1932 0.3153 0.5459  1 B 1.41
64 B 0.4546 0.2781 0.2500  3 O 1.38-1.40
65 Mg 0.4898 0.3487 0.6485  1 F 2.00, 5 O 2.08-2.13
66 O 0.7441 0.4457 0.5542  1 B 1.39
67 F 0.8152 0.9421 0.7500  3 Mg 2.00-2.01
68 B 0.9655 0.5751 0.4237  3 O 1.39-1.41
69 F 0.6848 0.4421 0.7500  3 Mg 2.00-2.01
70 O 0.8068 0.6847 0.4541  1 B 1.41
71 O 0.1885 0.5074 0.8653  1 B 1.40
72 O 0.8115 0.4926 0.3653  1 B 1.40

The calculation puts the final energy at -6.8800 eV per atom. Its formation enthalpy at 0 K is -3.11 eV/atom.